Here is an optimized crystal structure of Si60Te13P32Se3 from Materials Project. Energies are from PBE-GGA.

Summary:
Electronic total energy (eV per atom): -5.175
Mass density (g/cm³): 3.8

Cell lengths 10.0182, 10.0185, 20.0365 Å; angles 90.00, 90.00, 90.00 degrees
Element x y z (fractional)
P1 0.3156 0.6844 0.9078
P2 0.1838 0.1838 0.1581
P3 0.3156 0.3156 0.9078
P4 0.6844 0.3156 0.9078
P5 0.3156 0.6844 0.0922
P6 0.6844 0.6844 0.9078
P7 0.3159 0.6841 0.4080
P8 0.3156 0.3156 0.0922
P9 0.1838 0.8162 0.1581
P10 0.8162 0.1838 0.8419
P11 0.8160 0.8160 0.6580
P12 0.8162 0.8162 0.8419
P13 0.1838 0.8162 0.8419
P14 0.8160 0.8160 0.3420
P15 0.3159 0.3159 0.4080
P16 0.8162 0.8162 0.1581
P17 0.8160 0.1840 0.6580
P18 0.3159 0.3159 0.5920
P19 0.1840 0.8160 0.6580
P20 0.6841 0.3159 0.4080
P21 0.6841 0.6841 0.4080
P22 0.6844 0.3156 0.0922
P23 0.6841 0.3159 0.5920
P24 0.8160 0.1840 0.3420
P25 0.1838 0.1838 0.8419
P26 0.3159 0.6841 0.5920
P27 0.1840 0.8160 0.3420
P28 0.8162 0.1838 0.1581
P29 0.1840 0.1840 0.6580
P30 0.6841 0.6841 0.5920
P31 0.6844 0.6844 0.0922
P32 0.1840 0.1840 0.3420
Si1 0.3832 0.8083 0.5000
Si2 0.0000 0.3083 0.6916
Si3 0.6918 0.1167 0.7500
Si4 0.8089 0.5000 0.9415
Si5 0.1917 0.5000 0.5584
Si6 0.5000 0.3831 0.1545
Si7 0.1167 0.0000 0.0959
Si8 0.0000 0.3082 0.1916
Si9 0.6918 0.8833 0.7500
Si10 0.8832 0.0000 0.5958
Si11 0.1917 0.5000 0.4416
Si12 0.3082 0.1167 0.7500
Si13 0.6168 0.1917 0.5000
Si14 0.3082 0.1167 0.2500
Si15 0.7504 0.0000 0.0000
Si16 0.5000 0.6169 0.1545
Si17 0.8833 0.0000 0.9041
Si18 0.0000 0.6918 0.8084
Si19 0.8083 0.5000 0.5584
Si20 0.0000 0.6918 0.1916
Si21 0.8083 0.5000 0.4416
Si22 0.0000 0.5000 0.3750
Si23 0.0000 0.6917 0.3084
Si24 0.1911 0.5000 0.0585
Si25 0.6918 0.1167 0.2500
Si26 0.3082 0.8833 0.2500
Si27 0.2496 0.0000 0.0000
Si28 0.3832 0.1917 0.5000
Si29 0.5000 0.6168 0.3459
Si30 0.2500 0.0000 0.5000
Si31 0.5000 0.3831 0.8455
Si32 0.0000 0.5000 0.1252
Si33 0.8832 0.0000 0.4042
Si34 0.5000 0.2498 0.7499
Si35 0.7500 0.0000 0.5000
Si36 0.0000 0.5000 0.6250
Si37 0.8833 0.0000 0.0959
Si38 0.6168 0.8083 0.5000
Si39 0.3831 0.1911 0.0000
Si40 0.1911 0.5000 0.9415
Si41 0.0000 0.3082 0.8084
Si42 0.0000 0.5000 0.8748
Si43 0.5000 0.3832 0.6541
Si44 0.6918 0.8833 0.2500
Si45 0.1168 0.0000 0.5958
Si46 0.8089 0.5000 0.0585
Si47 0.0000 0.3083 0.3084
Si48 0.1168 0.0000 0.4042
Si49 0.5000 0.3832 0.3459
Si50 0.6169 0.1911 0.0000
Si51 0.5000 0.7502 0.7499
Si52 0.5000 0.7502 0.2501
Si53 0.0000 0.6917 0.6916
Si54 0.5000 0.6168 0.6541
Si55 0.3831 0.8089 0.0000
Si56 0.6169 0.8089 0.0000
Si57 0.3082 0.8833 0.7500
Si58 0.5000 0.6169 0.8455
Si59 0.5000 0.2498 0.2501
Si60 0.1167 0.0000 0.9041
Te1 0.7500 0.5000 0.2500
Te2 0.5000 0.0000 0.1250
Te3 0.0000 0.7500 0.5000
Te4 0.2500 0.5000 0.2500
Te5 0.0000 0.2500 0.0000
Te6 0.5000 0.5000 0.0000
Te7 0.0000 0.7500 0.0000
Te8 0.5000 0.0000 0.3750
Te9 0.7500 0.5000 0.7500
Te10 0.2500 0.5000 0.7500
Te11 0.5000 0.0000 0.6250
Te12 0.0000 0.2500 0.5000
Te13 0.5000 0.0000 0.8750
Se1 0.0000 0.0000 0.2501
Se2 0.0000 0.0000 0.7499
Se3 0.5000 0.5000 0.5000